Entry 1:
A plane-wave DFT calculation with PBE with a Hubbard U was carried out for crystalline Ba2YV2F11 at its relaxed geometry.

Its calculated density is 4.4 g/cm³. The value obtained for the energy relative to the elements is -3.724 eV/atom.

Cell and atoms, written as POSCAR:
```
Ba2YV2F11
1.0
-5.514 4.522 -3.524
-0.144 -1.026 7.887
8.075 11.088 1.590
Ba Y V F
6 3 6 33
Direct
0.558 0.195 0.664
0.195 0.523 0.813
0.636 0.442 0.997
0.477 0.673 0.480
0.327 0.805 0.146
0.805 0.364 0.331
0.132 0.000 0.893
0.867 0.868 0.226
0.000 0.133 0.559
0.634 0.995 0.882
0.784 0.739 0.721
0.261 0.044 0.388
0.361 0.366 0.215
0.956 0.216 0.054
0.005 0.639 0.549
0.659 0.086 0.027
0.510 0.704 0.928
0.427 0.341 0.360
0.093 0.430 0.500
0.567 0.290 0.177
0.945 0.650 0.191
0.570 0.663 0.166
0.350 0.295 0.858
0.723 0.433 0.510
0.258 0.342 0.073
0.337 0.907 0.833
0.914 0.573 0.693
0.299 0.017 0.015
0.022 0.498 0.011
0.718 0.701 0.348
0.296 0.806 0.595
0.958 0.150 0.902
0.085 0.742 0.406
0.005 0.076 0.395
0.983 0.282 0.681
0.071 0.995 0.728
0.502 0.523 0.677
0.477 0.978 0.344
0.192 0.042 0.236
0.658 0.915 0.740
0.710 0.277 0.843
0.194 0.490 0.261
0.868 0.717 0.868
0.850 0.132 0.202
0.924 0.929 0.062
0.705 0.055 0.524
0.850 0.808 0.569
0.283 0.150 0.535
```

***

Entry 2:
A plane-wave DFT calculation with PBE with a Hubbard U was carried out for crystalline BaWF7 at its relaxed geometry.

Its calculated density is 4.9 g/cm³. The value obtained for the energy relative to the elements is -3.242 eV/atom.

Cell and atoms, written as POSCAR:
```
BaWF7
1.0
-7.900 6.338 0.197
-2.296 -2.996 4.325
4.862 5.829 7.410
Ba W F
4 4 28
Direct
0.333 0.302 0.507
0.833 0.698 0.993
0.667 0.698 0.493
0.167 0.302 0.007
0.611 0.185 0.187
0.389 0.815 0.813
0.889 0.185 0.687
0.111 0.815 0.313
0.456 0.097 0.875
0.052 0.330 0.630
0.695 0.464 0.242
0.305 0.536 0.758
0.455 0.886 0.640
0.805 0.260 0.523
0.765 0.001 0.242
0.955 0.114 0.860
0.448 0.330 0.130
0.195 0.536 0.258
0.044 0.097 0.375
0.544 0.903 0.125
0.265 0.999 0.258
0.958 0.388 0.113
0.545 0.114 0.360
0.045 0.886 0.140
0.235 0.999 0.758
0.956 0.903 0.625
0.458 0.612 0.387
0.948 0.670 0.370
0.042 0.612 0.887
0.735 0.001 0.742
0.542 0.388 0.613
0.305 0.740 0.977
0.195 0.740 0.477
0.695 0.260 0.023
0.552 0.670 0.870
0.805 0.464 0.742
```

***

Entry 3:
A plane-wave DFT calculation with PBE with a Hubbard U was carried out for crystalline BaZnWF7 at its relaxed geometry.

Its calculated density is 5.7 g/cm³. The value obtained for the energy relative to the elements is -3.063 eV/atom.

Cell and atoms, written as POSCAR:
```
BaZnWF7
1.0
-3.966 7.871 5.382
1.311 -2.738 4.971
9.042 4.234 0.471
Ba Zn W F
4 4 4 28
Direct
0.327 0.736 0.496
0.827 0.264 0.004
0.673 0.264 0.504
0.173 0.736 0.996
0.397 0.312 0.811
0.897 0.688 0.689
0.103 0.312 0.311
0.603 0.688 0.189
0.612 0.805 0.816
0.388 0.195 0.184
0.888 0.805 0.316
0.112 0.195 0.684
0.450 0.870 0.120
0.060 0.631 0.377
0.712 0.509 0.752
0.288 0.491 0.248
0.460 0.101 0.375
0.802 0.736 0.508
0.785 0.973 0.751
0.960 0.899 0.125
0.440 0.631 0.877
0.212 0.491 0.748
0.050 0.870 0.620
0.550 0.130 0.880
0.285 0.027 0.749
0.958 0.601 0.870
0.540 0.899 0.625
0.040 0.101 0.875
0.215 0.027 0.249
0.950 0.130 0.380
0.458 0.399 0.630
0.940 0.369 0.623
0.042 0.399 0.130
0.715 0.973 0.251
0.542 0.601 0.370
0.302 0.264 0.992
0.198 0.264 0.492
0.698 0.736 0.008
0.560 0.369 0.123
0.788 0.509 0.252
```

***

Entry 4:
A plane-wave DFT calculation with PBE with a Hubbard U was carried out for crystalline Ba6Gd2Fe4O15 at its relaxed geometry.

Its calculated density is 5.8 g/cm³. The value obtained for the energy relative to the elements is -2.704 eV/atom.

Cell and atoms, written as POSCAR:
```
Ba6Gd2Fe4O15
1.0
0.000 -6.083 0.000
-8.242 0.000 0.153
0.045 0.000 -18.356
Ba Gd Fe O
12 4 8 30
Direct
0.755 0.497 0.425
0.245 0.503 0.575
0.755 0.503 0.075
0.245 0.497 0.925
0.745 0.973 0.414
0.255 0.027 0.586
0.745 0.027 0.086
0.255 0.973 0.914
0.724 0.000 0.750
0.276 0.000 0.250
0.661 0.500 0.750
0.339 0.500 0.250
0.746 0.752 0.588
0.254 0.248 0.412
0.746 0.248 0.912
0.254 0.752 0.088
0.750 0.753 0.936
0.250 0.247 0.064
0.750 0.247 0.564
0.250 0.753 0.436
0.777 0.770 0.235
0.223 0.230 0.765
0.777 0.230 0.265
0.223 0.770 0.735
0.203 0.000 0.750
0.797 0.000 0.250
0.506 0.764 0.493
0.494 0.236 0.507
0.506 0.236 0.007
0.494 0.764 0.993
0.761 0.962 0.897
0.239 0.038 0.103
0.761 0.038 0.603
0.239 0.962 0.397
0.006 0.766 0.499
0.994 0.234 0.501
0.006 0.234 0.001
0.994 0.766 0.999
0.337 0.693 0.822
0.663 0.307 0.178
0.337 0.307 0.678
0.663 0.693 0.322
0.444 0.744 0.662
0.556 0.256 0.338
0.444 0.256 0.838
0.556 0.744 0.162
0.941 0.723 0.695
0.059 0.277 0.305
0.941 0.277 0.805
0.059 0.723 0.195
0.758 0.527 0.919
0.242 0.473 0.081
0.758 0.473 0.581
0.242 0.527 0.419
```